No. 1
# Mn2FeGe5 | the Materials Project | PBE-GGA | optimized geometry
# V, Å³/atom: 13.856
# Magnetic moment, μB/atom: 0.00
# Electronic total energy, eV for the cell shown: -202.491
# Formation enthalpy at 0 K, eV per atom: -0.089
data_Mn2FeGe5
_cell_length_a 5.6894
_cell_length_b 5.6894
_cell_length_c 13.6974
_cell_angle_alpha 90.00
_cell_angle_beta 90.00
_cell_angle_gamma 90.00
_symmetry_space_group_name_H-M 'P -4 n 2'
_symmetry_Int_Tables_number 118
_symmetry_space_group_name_Hall 'P -4 -2n'
loop_
_atom_site_label
_atom_site_type_symbol
_atom_site_fract_x
_atom_site_fract_y
_atom_site_fract_z
Mn1 Mn 0.0000 0.0000 0.0000
Mn2 Mn 0.0000 0.0000 0.3279
Mn3 Mn 0.0000 0.5000 0.2500
Fe1 Fe 0.0000 0.5000 0.5868
Ge1 Ge 0.1563 0.2692 0.4482
Ge2 Ge 0.1590 0.8034 0.1517
Ge3 Ge 0.1753 0.6753 0.7500

=====

No. 2
# Nd2Mn3FeGe4 | the Materials Project | PBE-GGA | optimized geometry
# V, Å³/atom: 17.532
# Magnetic moment, μB/atom: 0.65
# Electronic total energy, eV for the cell shown: -68.650
# Formation enthalpy at 0 K, eV per atom: -0.467
data_Nd2Mn3FeGe4
_cell_length_a 4.0240
_cell_length_b 4.0240
_cell_length_c 10.8275
_cell_angle_alpha 90.00
_cell_angle_beta 90.00
_cell_angle_gamma 90.00
_symmetry_space_group_name_H-M 'P -4 m 2'
_symmetry_Int_Tables_number 115
_symmetry_space_group_name_Hall 'P -4 -2'
loop_
_atom_site_label
_atom_site_type_symbol
_atom_site_fract_x
_atom_site_fract_y
_atom_site_fract_z
Nd1 Nd 0.0000 0.5000 0.2474
Mn1 Mn 0.0000 0.0000 0.0000
Mn2 Mn 0.0000 0.0000 0.5000
Mn3 Mn 0.5000 0.5000 0.5000
Fe1 Fe 0.5000 0.5000 0.0000
Ge1 Ge 0.0000 0.5000 0.6266
Ge2 Ge 0.0000 0.5000 0.8779

=====

No. 3
# NdMnFeGe2 | the Materials Project | PBE-GGA | optimized geometry
# V, Å³/atom: 17.271
# Magnetic moment, μB/atom: 0.72
# Electronic total energy, eV for the cell shown: -67.970
# Formation enthalpy at 0 K, eV per atom: -0.468
data_NdMnFeGe2
_cell_length_a 3.9770
_cell_length_b 3.9770
_cell_length_c 10.9197
_cell_angle_alpha 90.00
_cell_angle_beta 90.00
_cell_angle_gamma 90.00
_symmetry_space_group_name_H-M 'I -4 m 2'
_symmetry_Int_Tables_number 119
_symmetry_space_group_name_Hall 'I -4 -2'
loop_
_atom_site_label
_atom_site_type_symbol
_atom_site_fract_x
_atom_site_fract_y
_atom_site_fract_z
Nd1 Nd 0.0000 0.0000 0.0000
Mn1 Mn 0.0000 0.5000 0.7500
Fe1 Fe 0.0000 0.5000 0.2500
Ge1 Ge 0.0000 0.0000 0.3771

=====

No. 4
# Fe7GeN6 | the Materials Project | PBE-GGA | optimized geometry
# V, Å³/atom: 9.803
# Magnetic moment, μB/atom: 0.14
# Electronic total energy, eV for the cell shown: -445.520
# Formation enthalpy at 0 K, eV per atom: 0.028
data_Fe7GeN6
_cell_length_a 8.0868
_cell_length_b 6.3394
_cell_length_c 10.7079
_cell_angle_alpha 90.00
_cell_angle_beta 90.00
_cell_angle_gamma 90.00
_symmetry_space_group_name_H-M 'P b c n'
_symmetry_Int_Tables_number 60
_symmetry_space_group_name_Hall '-P 2n 2ab'
loop_
_atom_site_label
_atom_site_type_symbol
_atom_site_fract_x
_atom_site_fract_y
_atom_site_fract_z
Fe1 Fe 0.0000 0.1037 0.2500
Fe2 Fe 0.0081 0.1831 0.5532
Fe3 Fe 0.1841 0.4061 0.0773
Fe4 Fe 0.2342 0.3633 0.3263
Ge1 Ge 0.0000 0.4002 0.7500
N1 N 0.0251 0.2767 0.3879
N2 N 0.1444 0.0873 0.6833
N3 N 0.2074 0.1254 0.9895

=====

No. 5
# FeGeN2 | the Materials Project | PBE-GGA | optimized geometry
# V, Å³/atom: 12.314
# Magnetic moment, μB/atom: 1.00
# Distance to the lowest polymorph of the same formula, eV/atom: 0.0000
# Electronic total energy, eV for the cell shown: -116.313
# Formation enthalpy at 0 K, eV per atom: -0.009
data_FeGeN2
_cell_length_a 5.6117
_cell_length_b 6.4333
_cell_length_c 5.4576
_cell_angle_alpha 90.00
_cell_angle_beta 90.05
_cell_angle_gamma 90.00
_symmetry_space_group_name_H-M 'P 1 21/c 1'
_symmetry_Int_Tables_number 14
_symmetry_space_group_name_Hall '-P 2ybc'
loop_
_atom_site_label
_atom_site_type_symbol
_atom_site_fract_x
_atom_site_fract_y
_atom_site_fract_z
Fe1 Fe 0.1563 0.1359 0.4116
Ge1 Ge 0.3393 0.6381 0.4123
N1 N 0.2122 0.6428 0.0967
N2 N 0.3170 0.1210 0.0789

=====

No. 6
# FeGeN2 | the Materials Project | PBE-GGA | optimized geometry
# V, Å³/atom: 11.383
# Magnetic moment, μB/atom: 0.61
# Distance to the lowest polymorph of the same formula, eV/atom: 0.0333
# Electronic total energy, eV for the cell shown: -463.121
# Formation enthalpy at 0 K, eV per atom: 0.025
data_FeGeN2
_cell_length_a 5.2536
_cell_length_b 10.6535
_cell_length_c 13.0168
_cell_angle_alpha 90.00
_cell_angle_beta 90.00
_cell_angle_gamma 90.00
_symmetry_space_group_name_H-M 'P b c a'
_symmetry_Int_Tables_number 61
_symmetry_space_group_name_Hall '-P 2ac 2ab'
loop_
_atom_site_label
_atom_site_type_symbol
_atom_site_fract_x
_atom_site_fract_y
_atom_site_fract_z
Fe1 Fe 0.1447 0.0455 0.0555
Fe2 Fe 0.2195 0.1976 0.1937
Ge1 Ge 0.1172 0.5467 0.8145
Ge2 Ge 0.2121 0.2061 0.4400
N1 N 0.1409 0.7219 0.8207
N2 N 0.1476 0.7052 0.0505
N3 N 0.2152 0.5309 0.4275
N4 N 0.2213 0.5103 0.1939

=====

No. 7
# Fe3Ge8N8 | the Materials Project | PBE-GGA | optimized geometry
# V, Å³/atom: 13.044
# Magnetic moment, μB/atom: 0.39
# Electronic total energy, eV for the cell shown: -249.322
# Formation enthalpy at 0 K, eV per atom: 0.081
data_Fe3Ge8N8
_cell_length_a 20.6342
_cell_length_b 3.0555
_cell_length_c 7.8674
_cell_angle_alpha 90.00
_cell_angle_beta 92.19
_cell_angle_gamma 90.00
_symmetry_space_group_name_H-M 'C 1 2/m 1'
_symmetry_Int_Tables_number 12
_symmetry_space_group_name_Hall '-C 2y'
loop_
_atom_site_label
_atom_site_type_symbol
_atom_site_fract_x
_atom_site_fract_y
_atom_site_fract_z
Fe1 Fe 0.0000 0.0000 0.0000
Fe2 Fe 0.1826 0.5000 0.7716
Ge1 Ge 0.0217 0.5000 0.7616
Ge2 Ge 0.0965 0.0000 0.4675
Ge3 Ge 0.1135 0.0000 0.0546
Ge4 Ge 0.2190 0.5000 0.2404
N1 N 0.0184 0.0000 0.3395
N2 N 0.1020 0.5000 0.6099
N3 N 0.1571 0.0000 0.2959
N4 N 0.1691 0.5000 0.0125

=====

No. 8
# Fe5Ge2N6 | the Materials Project | PBE-GGA | optimized geometry
# V, Å³/atom: 12.684
# Magnetic moment, μB/atom: 0.00
# Electronic total energy, eV for the cell shown: -395.501
# Formation enthalpy at 0 K, eV per atom: 0.044
data_Fe5Ge2N6
_cell_length_a 14.3502
_cell_length_b 4.6563
_cell_length_c 9.9240
_cell_angle_alpha 90.00
_cell_angle_beta 95.91
_cell_angle_gamma 90.00
_symmetry_space_group_name_H-M 'C 1 2/c 1'
_symmetry_Int_Tables_number 15
_symmetry_space_group_name_Hall '-C 2yc'
loop_
_atom_site_label
_atom_site_type_symbol
_atom_site_fract_x
_atom_site_fract_y
_atom_site_fract_z
Fe1 Fe 0.0000 0.1986 0.2500
Fe2 Fe 0.0497 0.2657 0.8614
Fe3 Fe 0.1062 0.1463 0.5308
Ge1 Ge 0.2169 0.4663 0.0933
N1 N 0.0639 0.3667 0.3940
N2 N 0.0726 0.1062 0.6976
N3 N 0.1623 0.1680 0.9621

=====

No. 9
# Nb9Fe3Ge2 | the Materials Project | PBE-GGA | optimized geometry
# V, Å³/atom: 16.419
# Magnetic moment, μB/atom: 0.28
# Electronic total energy, eV for the cell shown: -1016.266
# Formation enthalpy at 0 K, eV per atom: -0.105
data_Nb9Fe3Ge2
_cell_length_a 5.0433
_cell_length_b 19.0450
_cell_length_c 19.1452
_cell_angle_alpha 90.00
_cell_angle_beta 90.00
_cell_angle_gamma 90.00
_symmetry_space_group_name_H-M 'F m m m'
_symmetry_Int_Tables_number 69
_symmetry_space_group_name_Hall '-F 2 2'
loop_
_atom_site_label
_atom_site_type_symbol
_atom_site_fract_x
_atom_site_fract_y
_atom_site_fract_z
Nb1 Nb 0.0000 0.0699 0.1370
Nb2 Nb 0.0000 0.1212 0.2890
Nb3 Nb 0.0000 0.1365 0.4321
Nb4 Nb 0.0000 0.2110 0.1198
Nb5 Nb 0.2440 0.0000 0.0000
Fe1 Fe 0.0000 0.1341 0.0000
Fe2 Fe 0.2500 0.0000 0.2500
Fe3 Fe 0.2500 0.2500 0.0000
Ge1 Ge 0.0000 0.0000 0.3696
Ge2 Ge 0.0000 0.2500 0.2500

=====

No. 10
# NdFe2Ge2 | the Materials Project | PBE-GGA | optimized geometry
# V, Å³/atom: 17.525
# Electronic total energy, eV for the cell shown: -66.265
# Formation enthalpy at 0 K, eV per atom: -0.436
data_NdFe2Ge2
_cell_length_a 4.0329
_cell_length_b 4.0329
_cell_length_c 10.7755
_cell_angle_alpha 90.00
_cell_angle_beta 90.00
_cell_angle_gamma 90.00
_symmetry_space_group_name_H-M 'I 4/m m m'
_symmetry_Int_Tables_number 139
_symmetry_space_group_name_Hall '-I 4 2'
loop_
_atom_site_label
_atom_site_type_symbol
_atom_site_fract_x
_atom_site_fract_y
_atom_site_fract_z
Nd1 Nd 0.0000 0.0000 0.0000
Fe1 Fe 0.0000 0.5000 0.2500
Ge1 Ge 0.0000 0.0000 0.3784

=====

No. 11
# NdFeGe | the Materials Project | PBE-GGA | optimized geometry
# V, Å³/atom: 21.059
# Magnetic moment, μB/atom: 0.64
# Electronic total energy, eV for the cell shown: -18.916
# Formation enthalpy at 0 K, eV per atom: -0.351
data_NdFeGe
_cell_length_a 4.2057
_cell_length_b 4.2057
_cell_length_c 4.1243
_cell_angle_alpha 90.00
_cell_angle_beta 90.00
_cell_angle_gamma 120.00
_symmetry_space_group_name_H-M 'P -6 m 2'
_symmetry_Int_Tables_number 187
_symmetry_space_group_name_Hall 'P -6 2'
loop_
_atom_site_label
_atom_site_type_symbol
_atom_site_fract_x
_atom_site_fract_y
_atom_site_fract_z
Nd1 Nd 0.0000 0.0000 0.0000
Fe1 Fe 0.3333 0.6667 0.5000
Ge1 Ge 0.6667 0.3333 0.5000

=====

No. 12
# Fe3Ni3Ge2 | the Materials Project | PBE-GGA | optimized geometry
# V, Å³/atom: 11.740
# Magnetic moment, μB/atom: 0.85
# Electronic total energy, eV for the cell shown: -157.867
# Formation enthalpy at 0 K, eV per atom: -0.078
data_Fe3Ni3Ge2
_cell_length_a 4.0488
_cell_length_b 4.0488
_cell_length_c 19.8460
_cell_angle_alpha 90.00
_cell_angle_beta 90.00
_cell_angle_gamma 120.00
_symmetry_space_group_name_H-M 'R 3 m'
_symmetry_Int_Tables_number 160
_symmetry_space_group_name_Hall 'R 3 -2"'
loop_
_atom_site_label
_atom_site_type_symbol
_atom_site_fract_x
_atom_site_fract_y
_atom_site_fract_z
Fe1 Fe 0.0000 0.0000 0.0000
Fe2 Fe 0.0000 0.0000 0.2488
Fe3 Fe 0.0000 0.0000 0.7489
Ni1 Ni 0.0000 0.0000 0.3747
Ni2 Ni 0.0000 0.0000 0.4989
Ni3 Ni 0.0000 0.0000 0.8736
Ge1 Ge 0.0000 0.0000 0.1245
Ge2 Ge 0.0000 0.0000 0.6241